This record from the Materials Project database describes a geometry-optimized Ta4GaSe8 structure. The functional is PBE.

Its energy of formation is -1.0370 eV per atom. As for the calculated volume: 22.30 Å³ per atom. The space group is No. 216.

Lattice parameters (Å, degrees): 7.4287 7.4287 7.4287 60.00 60.00 60.00
Sites, in units of the cell vectors:
Ta: 0.1022 0.1022 0.1022
Ta: 0.1022 0.1022 0.6935
Ta: 0.1022 0.6935 0.1022
Ta: 0.6935 0.1022 0.1022
Ga: 0.5000 0.5000 0.5000
Se: 0.3642 0.3642 0.3642
Se: 0.3642 0.3642 0.9073
Se: 0.3642 0.9073 0.3642
Se: 0.4069 0.8644 0.8644
Se: 0.8644 0.4069 0.8644
Se: 0.8644 0.8644 0.4069
Se: 0.8644 0.8644 0.8644
Se: 0.9073 0.3642 0.3642



This record from the Materials Project database describes a geometry-optimized Ta4GaTe4Se4 structure. The functional is PBE.

Its energy of formation is -0.7294 eV per atom. As for the calculated volume: 25.73 Å³ per atom. The space group is No. 216.

Lattice parameters (Å, degrees): 7.7922 7.7922 7.7922 60.00 60.00 60.00
Sites, in units of the cell vectors:
Ta: 0.0974 0.0974 0.0974
Ta: 0.0974 0.0974 0.7077
Ta: 0.0974 0.7077 0.0974
Ta: 0.7077 0.0974 0.0974
Ga: 0.5000 0.5000 0.5000
Te: 0.3630 0.3630 0.3630
Te: 0.3630 0.3630 0.9110
Te: 0.3630 0.9110 0.3630
Te: 0.9110 0.3630 0.3630
Se: 0.3915 0.8695 0.8695
Se: 0.8695 0.3915 0.8695
Se: 0.8695 0.8695 0.3915
Se: 0.8695 0.8695 0.8695



This record from the Materials Project database describes a geometry-optimized Ga2TeSe2 structure. The functional is PBE.

Its energy of formation is -0.7034 eV per atom. The calculation puts the piezoelectric modulus e_max at 0.1 C/m². As for the calculated volume: 30.39 Å³ per atom. The space group is No. 109.

Lattice parameters (Å, degrees): 7.6069 7.6069 7.6069 121.49 121.49 87.44
Sites, in units of the cell vectors:
Ga: 0.2252 0.0000 0.2252
Ga: 0.7500 0.0248 0.2748
Ga: 0.7500 0.4752 0.7252
Ga: 0.7748 0.0000 0.7748
Te: 0.3542 0.8542 0.5000
Te: 0.6042 0.6042 0.0000
Se: 0.4751 0.2230 0.2521
Se: 0.9709 0.2230 0.7479
Se: 0.9730 0.2209 0.2479
Se: 0.9730 0.7251 0.7521



Which of these has the lowest energy of formation?
Ta4GaSe8